Entry 1:
Here is a geometry-optimized Na2LiCuP2O7 structure from the Materials Project database. Energies are from PBE-GGA.

Results
- Energy of formation from the pure elements: -2.35 eV/atom
- E: -319.58 eV/cell
- ΔE to the lowest computed polymorph: 7.0 meV/atom

Lattice parameters (Å, degrees): 13.5925 5.3792 10.4034 59.66 90.00 90.00
Positions (direct):
O: 0.8846 0.7457 0.3792
O: 0.0561 0.7628 0.6650
O: 0.3316 0.5447 0.6202
O: 0.7610 0.3434 0.1318
O: 0.5561 0.2372 0.8350
O: 0.6684 0.4553 0.3798
O: 0.0703 0.8507 0.8850
O: 0.4369 0.9042 0.8050
O: 0.1684 0.5447 0.1202
O: 0.3846 0.2543 0.1208
O: 0.5631 0.0958 0.1950
O: 0.2307 0.0468 0.9332
O: 0.7693 0.9532 0.0668
O: 0.4297 0.8507 0.3850
O: 0.5703 0.1493 0.6150
O: 0.9369 0.0958 0.6950
O: 0.6154 0.7457 0.8792
O: 0.1154 0.2543 0.6208
O: 0.4439 0.7628 0.1650
O: 0.9297 0.1493 0.1150
O: 0.0631 0.9042 0.3050
O: 0.8316 0.4553 0.8798
O: 0.2390 0.6566 0.8682
O: 0.2693 0.0468 0.4332
O: 0.9439 0.2372 0.3350
O: 0.7307 0.9532 0.5668
O: 0.2610 0.6566 0.3682
O: 0.7390 0.3434 0.6318
P: 0.9562 0.0004 0.2919
P: 0.8190 0.2321 0.0437
P: 0.0438 0.9996 0.7081
P: 0.3190 0.7679 0.4563
P: 0.6810 0.2321 0.5437
P: 0.4562 0.9996 0.2081
P: 0.1810 0.7679 0.9563
P: 0.5438 0.0004 0.7919
Li: 0.6204 0.2587 0.9994
Li: 0.1204 0.7413 0.5006
Li: 0.8796 0.2587 0.4994
Li: 0.3796 0.7413 0.0006
Cu: 0.3363 0.4329 0.2775
Cu: 0.6637 0.5671 0.7225
Cu: 0.8363 0.5671 0.2225
Cu: 0.1637 0.4329 0.7775
Na: 0.7923 0.9038 0.8524
Na: 0.7077 0.9038 0.3524
Na: 0.3874 0.4237 0.8482
Na: 0.6126 0.5763 0.1518
Na: 0.8874 0.5763 0.6518
Na: 0.1126 0.4237 0.3482
Na: 0.2923 0.0962 0.6476
Na: 0.2077 0.0962 0.1476

---

Entry 2:
Here is a geometry-optimized Tb14Pb3Se24 structure from the Materials Project database. Energies are from PBE-GGA.

Results
- Energy of formation from the pure elements: -1.91 eV/atom
- E: -227.04 eV/cell

Lattice parameters (Å, degrees): 7.6467 7.6467 19.7730 75.04 75.04 70.23
Positions (direct):
Se: 0.1639 0.5168 0.9178
Se: 0.3076 0.1821 0.4121
Se: 0.9630 0.8403 0.0842
Se: 0.6188 0.7675 0.8661
Se: 0.1597 0.0370 0.9158
Se: 0.2325 0.3812 0.1339
Se: 0.9590 0.0973 0.1981
Se: 0.4985 0.3713 0.2457
Se: 0.2965 0.4226 0.5329
Se: 0.5825 0.2014 0.9629
Se: 0.9099 0.5394 0.2936
Se: 0.8184 0.1941 0.5828
Se: 0.4606 0.0901 0.7064
Se: 0.8179 0.6924 0.5879
Se: 0.6287 0.5015 0.7543
Se: 0.2473 0.8754 0.6354
Se: 0.8059 0.1816 0.4172
Se: 0.1447 0.5037 0.7534
Se: 0.4832 0.8361 0.0822
Se: 0.4963 0.8553 0.2466
Se: 0.5774 0.7035 0.4671
Se: 0.7986 0.4175 0.0371
Se: 0.9027 0.0410 0.8019
Se: 0.1246 0.7527 0.3646
Tb: 0.6174 0.1294 0.1223
Tb: 0.8350 0.8309 0.7125
Tb: 0.2092 0.7098 0.1989
Tb: 0.4554 0.2052 0.8368
Tb: 0.1808 0.1711 0.0389
Tb: 0.8289 0.8192 0.9611
Tb: 0.1691 0.1650 0.2875
Tb: 0.7948 0.5446 0.1632
Tb: 0.5417 0.0399 0.5401
Tb: 0.5024 0.5050 0.3720
Tb: 0.2902 0.7908 0.8011
Tb: 0.8706 0.3826 0.8777
Tb: 0.9601 0.4583 0.4599
Tb: 0.4950 0.4976 0.6280
Pb: 0.0410 0.2897 0.6677
Pb: 0.1247 0.8753 0.5000
Pb: 0.7103 0.9590 0.3323

---

Entry 3:
Here is a geometry-optimized Ti2P2O10F structure from the Materials Project database. Energies are from PBE-GGA.

Results
- Energy of formation from the pure elements: -2.64 eV/atom
- E: -441.04 eV/cell

Lattice parameters (Å, degrees): 14.7225 5.1899 12.3367 66.64 90.00 90.00
Positions (direct):
O: 0.9532 0.7818 0.9403
O: 0.7148 0.7055 0.4762
O: 0.9761 0.8244 0.7062
O: 0.3786 0.0772 0.4092
O: 0.2689 0.6334 0.1295
O: 0.6214 0.9228 0.5908
O: 0.6020 0.6422 0.0719
O: 0.7950 0.1865 0.5581
O: 0.4787 0.6987 0.7465
O: 0.8786 0.9228 0.0908
O: 0.2050 0.8135 0.4419
O: 0.4325 0.6334 0.0785
O: 0.9787 0.3013 0.7535
O: 0.0468 0.2182 0.0597
O: 0.3980 0.3578 0.9281
O: 0.5468 0.7818 0.4403
O: 0.2148 0.2945 0.0238
O: 0.3931 0.5939 0.3696
O: 0.0239 0.1756 0.2938
O: 0.7311 0.3666 0.8705
O: 0.9325 0.3666 0.4215
O: 0.2311 0.6334 0.6295
O: 0.7852 0.7055 0.9762
O: 0.4532 0.2182 0.5597
O: 0.5239 0.8244 0.2062
O: 0.5213 0.3013 0.2535
O: 0.5675 0.3666 0.9215
O: 0.1069 0.5939 0.8696
O: 0.2852 0.2945 0.5238
O: 0.1214 0.0772 0.9092
O: 0.6069 0.4061 0.6304
O: 0.0213 0.6987 0.2465
O: 0.8931 0.4061 0.1304
O: 0.7050 0.1865 0.0581
O: 0.8980 0.6422 0.5719
O: 0.0675 0.6334 0.5785
O: 0.7689 0.3666 0.3705
O: 0.2950 0.8135 0.9419
O: 0.4761 0.1756 0.7938
O: 0.1020 0.3578 0.4281
P: 0.8780 0.7035 0.0363
P: 0.3780 0.2965 0.4637
P: 0.0196 0.4001 0.3457
P: 0.9804 0.5999 0.6543
P: 0.1220 0.2965 0.9637
P: 0.6220 0.7035 0.5363
P: 0.4804 0.4001 0.8457
P: 0.5196 0.5999 0.1543
Ti: 0.4622 0.9393 0.3188
Ti: 0.6698 0.5688 0.9542
Ti: 0.5378 0.0607 0.6812
Ti: 0.9622 0.0607 0.1812
Ti: 0.1698 0.4312 0.5458
Ti: 0.3302 0.4312 0.0458
Ti: 0.8302 0.5688 0.4542
Ti: 0.0378 0.9393 0.8188
F: 0.8669 0.8914 0.3139
F: 0.1331 0.1086 0.6861
F: 0.3669 0.1086 0.1861
F: 0.6331 0.8914 0.8139

---

Calculated magnetic moment, 0.0, 0.0, 12.2 Bohr magnetons per cell (same order as the records).